Here is crystalline LaSmNi2O6 at its relaxed geometry from the Materials Project database. Energies are from GGA+U.

## Properties
- DFT formation energy (eV per atom) = -2.381
- SG = No. 123

Geometry as CIF:
```
data_LaSmNi2O6
_chemical_formula_sum 'La4 Sm4 Ni8 O24'
_space_group_name_H-M_alt 'P 1'
_space_group_IT_number 1
_cell_length_a 7.651
_cell_length_b 7.651
_cell_length_c 7.653
_cell_angle_alpha 90.00
_cell_angle_beta 90.00
_cell_angle_gamma 90.00
loop_
_space_group_symop_operation_xyz
'x,y,z'
loop_
_atom_site_label
_atom_site_type_symbol
_atom_site_fract_x
_atom_site_fract_y
_atom_site_fract_z
_atom_site_occupancy
La1 La 0.000 0.000 0.000 1
La2 La 0.000 0.500 0.000 1
La3 La 0.500 0.000 0.000 1
La4 La 0.500 0.500 0.500 1
Sm1 Sm 0.000 0.000 0.500 1
Sm2 Sm 0.000 0.500 0.500 1
Sm3 Sm 0.500 0.000 0.500 1
Sm4 Sm 0.500 0.500 0.000 1
Ni1 Ni 0.250 0.250 0.251 1
Ni2 Ni 0.250 0.250 0.749 1
Ni3 Ni 0.250 0.750 0.251 1
Ni4 Ni 0.250 0.750 0.749 1
Ni5 Ni 0.750 0.250 0.251 1
Ni6 Ni 0.750 0.250 0.749 1
Ni7 Ni 0.750 0.750 0.251 1
Ni8 Ni 0.750 0.750 0.749 1
O1 O 0.000 0.250 0.256 1
O2 O 0.000 0.250 0.744 1
O3 O 0.000 0.750 0.256 1
O4 O 0.000 0.750 0.744 1
O5 O 0.248 0.248 0.500 1
O6 O 0.248 0.752 0.500 1
O7 O 0.250 0.000 0.256 1
O8 O 0.250 0.000 0.744 1
O9 O 0.250 0.500 0.251 1
O10 O 0.250 0.500 0.749 1
O11 O 0.252 0.252 0.000 1
O12 O 0.252 0.748 0.000 1
O13 O 0.500 0.250 0.251 1
O14 O 0.500 0.250 0.749 1
O15 O 0.500 0.750 0.251 1
O16 O 0.500 0.750 0.749 1
O17 O 0.748 0.252 0.000 1
O18 O 0.748 0.748 0.000 1
O19 O 0.750 0.000 0.256 1
O20 O 0.750 0.000 0.744 1
O21 O 0.750 0.500 0.251 1
O22 O 0.750 0.500 0.749 1
O23 O 0.752 0.248 0.500 1
O24 O 0.752 0.752 0.500 1
```


Here is crystalline Na3Li3Mn2P2C2O14 at its relaxed geometry from the Materials Project database. Energies are from GGA+U.

## Properties
- DFT formation energy (eV per atom) = -2.384
- SG = No. 1
- energy relative to the lowest polymorph listed for this composition (meV per atom) = 9

Geometry as CIF:
```
data_Na3Li3Mn2P2C2O14
_chemical_formula_sum 'Na3 Li3 Mn2 P2 C2 O14'
_space_group_name_H-M_alt 'P 1'
_space_group_IT_number 1
_cell_length_a 5.079
_cell_length_b 6.720
_cell_length_c 8.760
_cell_angle_alpha 89.74
_cell_angle_beta 89.01
_cell_angle_gamma 89.91
loop_
_space_group_symop_operation_xyz
'x,y,z'
loop_
_atom_site_label
_atom_site_type_symbol
_atom_site_fract_x
_atom_site_fract_y
_atom_site_fract_z
_atom_site_occupancy
Na1 Na 0.000 0.000 0.000 1
Na2 Na 0.006 0.245 0.336 1
Na3 Na 0.500 0.503 0.504 1
Li1 Li 0.023 0.523 0.982 1
Li2 Li 0.475 0.027 0.524 1
Li3 Li 0.502 0.748 0.164 1
Mn1 Mn 0.026 0.757 0.611 1
Mn2 Mn 0.473 0.257 0.896 1
P1 P 0.545 0.753 0.845 1
P2 P 0.955 0.254 0.664 1
C1 C 0.516 0.243 0.199 1
C2 C 0.980 0.743 0.297 1
O1 O 0.028 0.440 0.567 1
O2 O 0.056 0.269 0.830 1
O3 O 0.075 0.072 0.578 1
O4 O 0.226 0.748 0.336 1
O5 O 0.287 0.248 0.135 1
O6 O 0.428 0.573 0.936 1
O7 O 0.439 0.768 0.680 1
O8 O 0.475 0.937 0.945 1
O9 O 0.534 0.225 0.347 1
O10 O 0.648 0.232 0.673 1
O11 O 0.726 0.258 0.113 1
O12 O 0.794 0.762 0.400 1
O13 O 0.852 0.731 0.832 1
O14 O 0.915 0.722 0.155 1
```


Here is crystalline V10As2O35 at its relaxed geometry from the Materials Project database. Energies are from GGA+U.

## Properties
- DFT formation energy (eV per atom) = -1.414
- SG = No. 217

Geometry as CIF:
```
data_V10As2O35
_chemical_formula_sum 'V30 As6 O105'
_space_group_name_H-M_alt 'P 1'
_space_group_IT_number 1
_cell_length_a 14.895
_cell_length_b 14.895
_cell_length_c 14.895
_cell_angle_alpha 109.47
_cell_angle_beta 109.47
_cell_angle_gamma 109.47
loop_
_space_group_symop_operation_xyz
'x,y,z'
loop_
_atom_site_label
_atom_site_type_symbol
_atom_site_fract_x
_atom_site_fract_y
_atom_site_fract_z
_atom_site_occupancy
V1 V 0.000 0.295 0.515 1
V2 V 0.000 0.339 0.339 1
V3 V 0.000 0.475 0.692 1
V4 V 0.000 0.515 0.295 1
V5 V 0.000 0.661 0.661 1
V6 V 0.000 0.692 0.475 1
V7 V 0.217 0.525 0.525 1
V8 V 0.219 0.705 0.705 1
V9 V 0.295 0.000 0.515 1
V10 V 0.295 0.515 0.000 1
V11 V 0.308 0.308 0.783 1
V12 V 0.308 0.783 0.308 1
V13 V 0.339 0.000 0.339 1
V14 V 0.339 0.339 0.000 1
V15 V 0.475 0.000 0.692 1
V16 V 0.475 0.692 0.000 1
V17 V 0.485 0.485 0.781 1
V18 V 0.485 0.781 0.485 1
V19 V 0.515 0.000 0.295 1
V20 V 0.515 0.295 0.000 1
V21 V 0.525 0.217 0.525 1
V22 V 0.525 0.525 0.217 1
V23 V 0.661 0.000 0.661 1
V24 V 0.661 0.661 0.000 1
V25 V 0.692 0.000 0.475 1
V26 V 0.692 0.475 0.000 1
V27 V 0.705 0.219 0.705 1
V28 V 0.705 0.705 0.219 1
V29 V 0.781 0.485 0.485 1
V30 V 0.783 0.308 0.308 1
As1 As 0.250 0.500 0.750 1
As2 As 0.250 0.750 0.500 1
As3 As 0.500 0.250 0.750 1
As4 As 0.500 0.750 0.250 1
As5 As 0.750 0.250 0.500 1
As6 As 0.750 0.500 0.250 1
O1 O 0.000 0.120 0.655 1
O2 O 0.000 0.183 0.493 1
O3 O 0.000 0.194 0.722 1
O4 O 0.000 0.246 0.246 1
O5 O 0.000 0.477 0.801 1
O6 O 0.000 0.493 0.183 1
O7 O 0.000 0.500 0.500 1
O8 O 0.000 0.655 0.120 1
O9 O 0.000 0.722 0.194 1
O10 O 0.000 0.754 0.754 1
O11 O 0.000 0.801 0.477 1
O12 O 0.104 0.623 0.729 1
O13 O 0.104 0.729 0.623 1
O14 O 0.106 0.377 0.481 1
O15 O 0.106 0.481 0.377 1
O16 O 0.108 0.415 0.683 1
O17 O 0.108 0.683 0.415 1
O18 O 0.120 0.000 0.655 1
O19 O 0.120 0.655 0.000 1
O20 O 0.183 0.000 0.493 1
O21 O 0.183 0.493 0.000 1
O22 O 0.194 0.000 0.722 1
O23 O 0.194 0.722 0.000 1
O24 O 0.199 0.199 0.676 1
O25 O 0.199 0.676 0.199 1
O26 O 0.246 0.000 0.246 1
O27 O 0.246 0.246 0.000 1
O28 O 0.268 0.585 0.693 1
O29 O 0.268 0.693 0.585 1
O30 O 0.271 0.375 0.894 1
O31 O 0.271 0.894 0.375 1
O32 O 0.278 0.278 0.471 1
O33 O 0.278 0.471 0.278 1
O34 O 0.307 0.575 0.892 1
O35 O 0.307 0.892 0.575 1
O36 O 0.310 0.817 0.817 1
O37 O 0.317 0.425 0.732 1
O38 O 0.317 0.732 0.425 1
O39 O 0.324 0.523 0.523 1
O40 O 0.345 0.345 0.465 1
O41 O 0.345 0.465 0.345 1
O42 O 0.375 0.271 0.894 1
O43 O 0.375 0.894 0.271 1
O44 O 0.377 0.106 0.481 1
O45 O 0.377 0.481 0.106 1
O46 O 0.415 0.108 0.683 1
O47 O 0.415 0.683 0.108 1
O48 O 0.425 0.317 0.732 1
O49 O 0.425 0.732 0.317 1
O50 O 0.465 0.345 0.345 1
O51 O 0.471 0.278 0.278 1
O52 O 0.477 0.000 0.801 1
O53 O 0.477 0.801 0.000 1
O54 O 0.481 0.106 0.377 1
O55 O 0.481 0.377 0.106 1
O56 O 0.493 0.000 0.183 1
O57 O 0.493 0.183 0.000 1
O58 O 0.500 0.000 0.500 1
O59 O 0.500 0.500 0.000 1
O60 O 0.507 0.507 0.690 1
O61 O 0.507 0.690 0.507 1
O62 O 0.519 0.625 0.896 1
O63 O 0.519 0.896 0.625 1
O64 O 0.523 0.324 0.523 1
O65 O 0.523 0.523 0.324 1
O66 O 0.529 0.806 0.806 1
O67 O 0.535 0.880 0.880 1
O68 O 0.575 0.307 0.892 1
O69 O 0.575 0.892 0.307 1
O70 O 0.585 0.268 0.693 1
O71 O 0.585 0.693 0.268 1
O72 O 0.623 0.104 0.729 1
O73 O 0.623 0.729 0.104 1
O74 O 0.625 0.519 0.896 1
O75 O 0.625 0.896 0.519 1
O76 O 0.655 0.000 0.120 1
O77 O 0.655 0.120 0.000 1
O78 O 0.676 0.199 0.199 1
O79 O 0.683 0.108 0.415 1
O80 O 0.683 0.415 0.108 1
O81 O 0.690 0.507 0.507 1
O82 O 0.693 0.268 0.585 1
O83 O 0.693 0.585 0.268 1
O84 O 0.722 0.000 0.194 1
O85 O 0.722 0.194 0.000 1
O86 O 0.729 0.104 0.623 1
O87 O 0.729 0.623 0.104 1
O88 O 0.732 0.317 0.425 1
O89 O 0.732 0.425 0.317 1
O90 O 0.754 0.000 0.754 1
O91 O 0.754 0.754 0.000 1
O92 O 0.801 0.000 0.477 1
O93 O 0.801 0.477 0.000 1
O94 O 0.806 0.529 0.806 1
O95 O 0.806 0.806 0.529 1
O96 O 0.817 0.310 0.817 1
O97 O 0.817 0.817 0.310 1
O98 O 0.880 0.535 0.880 1
O99 O 0.880 0.880 0.535 1
O100 O 0.892 0.307 0.575 1
O101 O 0.892 0.575 0.307 1
O102 O 0.894 0.271 0.375 1
O103 O 0.894 0.375 0.271 1
O104 O 0.896 0.519 0.625 1
O105 O 0.896 0.625 0.519 1
```


Here is crystalline Mn3OF5 at its relaxed geometry from the Materials Project database. Energies are from GGA+U.

## Properties
- DFT formation energy (eV per atom) = -2.728
- SG = No. 1
- energy relative to the lowest polymorph listed for this composition (meV per atom) = 18

Geometry as CIF:
```
data_Mn3OF5
_chemical_formula_sum 'Mn6 O2 F10'
_space_group_name_H-M_alt 'P 1'
_space_group_IT_number 1
_cell_length_a 5.858
_cell_length_b 5.892
_cell_length_c 7.575
_cell_angle_alpha 73.76
_cell_angle_beta 73.48
_cell_angle_gamma 71.90
loop_
_space_group_symop_operation_xyz
'x,y,z'
loop_
_atom_site_label
_atom_site_type_symbol
_atom_site_fract_x
_atom_site_fract_y
_atom_site_fract_z
_atom_site_occupancy
Mn1 Mn 0.000 0.000 0.000 1
Mn2 Mn 0.001 0.993 0.482 1
Mn3 Mn 0.300 0.310 0.153 1
Mn4 Mn 0.322 0.316 0.674 1
Mn5 Mn 0.662 0.651 0.826 1
Mn6 Mn 0.683 0.614 0.319 1
O1 O 0.219 0.227 0.961 1
O2 O 0.976 0.315 0.324 1
F1 F 0.029 0.644 0.643 1
F2 F 0.087 0.085 0.692 1
F3 F 0.299 0.681 0.992 1
F4 F 0.372 0.921 0.330 1
F5 F 0.419 0.400 0.355 1
F6 F 0.571 0.540 0.618 1
F7 F 0.635 0.015 0.653 1
F8 F 0.661 0.285 0.003 1
F9 F 0.776 0.751 0.027 1
F10 F 0.895 0.867 0.298 1
```


What V values result from the calculations? In sequence: 448.0; 298.9; 2543.9; 232.9 Å³ per cell.
What total DFT energy (no corrections) values result from the calculations? In sequence: -6.551; -6.754; -6.748; -6.507 eV/atom.